Record 1
Entry from the Materials Project: a relaxed Ba7Sr5Mo4N16 crystal (PBE).

Properties
E (MP2020): -7.28 eV/atom
symmetry: P2_1 (4)

a = 10.715 Å, b = 10.087 Å, c = 12.111 Å
α = 89.87°, β = 90.00°, γ = 90.00°
Fractional positions:
N 0.224 0.451 0.319
Mo 0.404 0.954 0.883
Ba 0.972 0.376 0.147
N 0.270 0.949 0.324
N 0.493 0.568 0.535
N 0.660 0.677 0.018
Mo 0.904 0.046 0.117
N 0.995 0.372 0.777
N 0.495 0.628 0.223
N 0.841 0.177 0.020
Sr 0.124 0.782 0.896
N 0.842 0.822 0.514
N 0.996 0.637 0.279
N 0.342 0.178 0.486
N 0.274 0.053 0.819
Ba 0.274 0.442 0.617
Ba 0.528 0.878 0.145
N 0.659 0.319 0.518
N 0.994 0.570 0.966
N 0.496 0.363 0.721
Sr 0.376 0.718 0.397
Sr 0.877 0.719 0.105
Ba 0.472 0.624 0.853
N 0.770 0.051 0.676
Ba 0.226 0.055 0.119
N 0.226 0.552 0.818
Ba 0.028 0.122 0.855
N 0.726 0.448 0.182
Mo 0.402 0.047 0.388
Ba 0.774 0.443 0.883
N 0.494 0.430 0.034
Sr 0.035 0.872 0.362
Mo 0.596 0.449 0.615
N 0.993 0.432 0.465
Sr 0.624 0.783 0.604
Mo 0.097 0.453 0.885
N 0.006 0.068 0.531
Ba 0.971 0.623 0.646
N 0.506 0.932 0.469
Ba 0.471 0.377 0.354
N 0.341 0.823 0.980
Sr 0.876 0.282 0.603
Ba 0.726 0.945 0.881
Mo 0.597 0.547 0.115
N 0.159 0.681 0.482
N 0.502 0.126 0.278
Ba 0.274 0.557 0.117
Sr 0.124 0.217 0.396
N 0.505 0.877 0.774
N 0.724 0.549 0.681
Ba 0.727 0.055 0.383
N 0.002 0.874 0.722
N 0.006 0.930 0.034
Mo 0.096 0.551 0.385
N 0.506 0.070 0.966
N 0.160 0.323 0.982
Ba 0.774 0.558 0.383
Sr 0.624 0.218 0.104
Sr 0.377 0.281 0.895
Ba 0.227 0.945 0.617
Sr 0.535 0.128 0.638
Mo 0.902 0.953 0.612
N 0.005 0.123 0.226
N 0.774 0.947 0.181


Record 2
Entry from the Materials Project: a relaxed BaMoP2 crystal (PBE).

Properties
symmetry: P6_3/mmc (194)

a = 3.621 Å, b = 3.621 Å, c = 15.273 Å
α = 90.00°, β = 90.00°, γ = 120.00°
Fractional positions:
Ba 0.000 0.000 0.500
Mo 0.000 0.000 0.250
P 0.333 0.667 0.342
P 0.667 0.333 0.842
P 0.333 0.667 0.158
Mo 0.000 0.000 0.750
Ba 0.000 0.000 0.000
P 0.667 0.333 0.658


Record 3
Entry from the Materials Project: a relaxed Ba2Mo6S9 crystal (PBE).

Properties
E (MP2020): -7.56 eV/atom
symmetry: P6_3mc (186)

a = 10.810 Å, b = 10.810 Å, c = 14.389 Å
α = 90.00°, β = 90.00°, γ = 120.00°
Fractional positions:
S 0.181 0.363 0.988
Mo 0.758 0.515 0.639
S 0.667 0.333 0.750
Mo 0.242 0.485 0.139
S 0.515 0.485 0.635
Mo 0.243 0.486 0.361
S 0.274 0.137 0.755
S 0.819 0.181 0.012
S 0.819 0.181 0.488
Mo 0.486 0.243 0.861
S 0.819 0.637 0.488
S 0.971 0.485 0.865
Ba 0.187 0.374 0.745
Mo 0.757 0.243 0.861
Mo 0.583 0.166 0.488
S 0.819 0.638 0.012
S 0.137 0.863 0.255
Mo 0.834 0.417 0.488
Ba 0.813 0.187 0.245
S 0.485 0.971 0.135
Mo 0.834 0.417 0.012
S 0.485 0.515 0.135
Ba 0.374 0.187 0.245
Mo 0.417 0.583 0.512
S 0.726 0.863 0.255
Mo 0.515 0.758 0.139
Mo 0.243 0.757 0.361
Mo 0.166 0.583 0.512
S 0.333 0.667 0.858
S 0.363 0.181 0.488
S 0.029 0.515 0.365
Ba 0.187 0.813 0.745
S 0.333 0.667 0.250
Ba 0.000 0.000 0.947
Ba 0.000 0.000 0.447
S 0.863 0.726 0.755
Mo 0.583 0.417 0.488
S 0.137 0.274 0.255
Mo 0.583 0.166 0.012
Mo 0.758 0.242 0.639
S 0.485 0.515 0.365
Mo 0.417 0.834 0.512
S 0.667 0.333 0.141
S 0.515 0.029 0.865
S 0.181 0.819 0.512
S 0.181 0.362 0.512
Mo 0.242 0.758 0.139
Mo 0.166 0.583 0.988
Mo 0.417 0.583 0.988
S 0.515 0.485 0.865
Mo 0.757 0.514 0.861
Mo 0.514 0.757 0.361
Mo 0.583 0.417 0.012
S 0.362 0.181 0.012
S 0.515 0.029 0.635
S 0.667 0.333 0.358
S 0.485 0.971 0.365
Ba 0.813 0.626 0.245
S 0.181 0.819 0.988
S 0.638 0.819 0.512
S 0.863 0.137 0.755
Mo 0.417 0.834 0.988
Ba 0.626 0.813 0.745
S 0.029 0.515 0.135
S 0.637 0.819 0.988
Mo 0.485 0.242 0.639
S 0.971 0.485 0.635
S 0.333 0.667 0.641


Record 4
Entry from the Materials Project: a relaxed Ba2Mo15Se19 crystal (PBE).

Properties
E (MP2020): -7.42 eV/atom
symmetry: R-3c (167)

a = 9.950 Å, b = 9.950 Å, c = 20.226 Å
α = 75.76°, β = 75.76°, γ = 60.00°
Fractional positions:
Mo 0.907 0.750 0.750
Se 0.555 0.555 0.336
Se 0.969 0.312 0.141
Se 0.195 0.800 0.449
Mo 0.407 0.093 0.250
Se 0.446 0.750 0.750
Mo 0.093 0.250 0.250
Se 0.176 0.176 0.473
Se 0.200 0.444 0.551
Se 0.305 0.944 0.051
Mo 0.684 0.374 0.442
Se 0.556 0.195 0.449
Se 0.554 0.250 0.250
Mo 0.641 0.778 0.632
Se 0.676 0.676 0.973
Se 0.800 0.556 0.449
Se 0.300 0.695 0.949
Mo 0.593 0.907 0.750
Se 0.469 0.078 0.641
Se 0.312 0.578 0.141
Se 0.812 0.469 0.641
Mo 0.278 0.141 0.132
Mo 0.250 0.407 0.250
Se 0.946 0.554 0.250
Ba 0.615 0.615 0.155
Se 0.944 0.700 0.051
Ba 0.885 0.885 0.345
Se 0.031 0.688 0.859
Mo 0.948 0.641 0.632
Se 0.922 0.188 0.359
Mo 0.722 0.859 0.868
Ba 0.385 0.385 0.845
Mo 0.141 0.448 0.132
Mo 0.500 0.316 0.558
Se 0.250 0.946 0.250
Mo 0.316 0.626 0.558
Se 0.188 0.531 0.359
Mo 0.126 0.816 0.058
Mo 0.000 0.874 0.942
Se 0.078 0.812 0.641
Se 0.688 0.422 0.859
Mo 0.000 0.126 0.058
Se 0.324 0.324 0.027
Se 0.695 0.056 0.949
Mo 0.184 0.000 0.942
Mo 0.052 0.359 0.368
Mo 0.222 0.052 0.368
Mo 0.448 0.278 0.132
Mo 0.626 0.500 0.558
Mo 0.552 0.722 0.868
Mo 0.374 0.500 0.442
Mo 0.874 0.184 0.942
Se 0.055 0.055 0.836
Se 0.805 0.200 0.551
Se 0.054 0.446 0.750
Mo 0.359 0.222 0.368
Mo 0.816 0.000 0.058
Se 0.531 0.922 0.359
Se 0.945 0.945 0.164
Se 0.750 0.054 0.750
Mo 0.778 0.948 0.632
Se 0.445 0.445 0.664
Se 0.422 0.031 0.859
Se 0.056 0.300 0.949
Se 0.700 0.305 0.051
Mo 0.500 0.684 0.442
Se 0.444 0.805 0.551
Se 0.578 0.969 0.141
Mo 0.750 0.593 0.750
Ba 0.115 0.115 0.655
Se 0.824 0.824 0.527
Mo 0.859 0.552 0.868


Record 5
Entry from the Materials Project: a relaxed BaN crystal (PBE).

Properties
E (MP2020): -5.25 eV/atom
symmetry: Fm-3m (225)

a = 4.048 Å, b = 4.048 Å, c = 4.048 Å
α = 60.00°, β = 60.00°, γ = 60.00°
Fractional positions:
N 0.500 0.500 0.500
Ba 0.000 0.000 0.000


Record 6
Entry from the Materials Project: a relaxed Ba3N crystal (PBE).

Properties
E (MP2020): -3.92 eV/atom
symmetry: P6_3/mcm (193)

a = 7.737 Å, b = 7.737 Å, c = 7.099 Å
α = 90.00°, β = 90.00°, γ = 120.00°
Fractional positions:
Ba 0.728 0.000 0.750
Ba 0.272 0.000 0.250
Ba 0.000 0.272 0.250
N 0.000 0.000 0.500
Ba 0.000 0.728 0.750
N 0.000 0.000 0.000
Ba 0.272 0.272 0.750
Ba 0.728 0.728 0.250


Record 7
Entry from the Materials Project: a relaxed BaNaN crystal (PBE).

Properties
E (MP2020): -4.05 eV/atom
symmetry: Pnma (62)

a = 9.874 Å, b = 4.336 Å, c = 6.514 Å
α = 90.00°, β = 90.00°, γ = 90.00°
Fractional positions:
Ba 0.847 0.750 0.969
N 0.602 0.750 0.741
Ba 0.153 0.250 0.031
N 0.398 0.250 0.259
Na 0.562 0.250 0.931
N 0.102 0.750 0.759
Na 0.062 0.250 0.569
Na 0.438 0.750 0.069
Ba 0.347 0.750 0.531
Ba 0.653 0.250 0.469
N 0.898 0.250 0.241
Na 0.938 0.750 0.431


Record 8
Entry from the Materials Project: a relaxed Ba3NaN crystal (PBE).

Properties
E (MP2020): -3.42 eV/atom
symmetry: P6_3/mmc (194)

a = 8.520 Å, b = 8.520 Å, c = 7.004 Å
α = 90.00°, β = 90.00°, γ = 120.00°
Fractional positions:
Ba 0.288 0.144 0.250
Na 0.667 0.333 0.750
Ba 0.144 0.288 0.750
Ba 0.144 0.856 0.750
N 0.000 0.000 0.000
Ba 0.856 0.144 0.250
N 0.000 0.000 0.500
Na 0.333 0.667 0.250
Ba 0.856 0.712 0.250
Ba 0.712 0.856 0.750


Formation enthalpy at 0 K (computed, kJ per mole of atoms): -104; -48; -127; -91; -12; -39; -18; -32
Density (computed, g/cm³): 5.09; 5.65; 5.19; 6.42; 5.36; 3.84; 4.15; 3.39